Entry 1:
Crystalline BaFe2N2 at its relaxed geometry, computed with PBE.

Magnetic moment = 2.8 μB per formula unit
Energy of formation = -0.1774 eV per atom
E_tot = -35.70 eV per cell
Distance to the lowest polymorph of the same formula = 0.251 eV/atom
SG = P-3m1

Cell and atoms, written as extended XYZ:
```
5
Lattice="3.3583 0.0000 0.0000 -1.6792 2.9084 0.0000 0.0000 0.0000 6.7073" Properties=species:S:1:pos:R:3 pbc="T T T"
Ba 0.0000 0.0000 0.0000
Fe 0.0000 1.9389 2.6476
Fe 1.6792 0.9695 4.0597
N 0.0000 1.9389 4.5216
N 1.6792 0.9695 2.1857
```

---

Entry 2:
Crystalline Mn3Zn8N9 at its relaxed geometry, computed with PBE.

Magnetic moment = 6.0 μB per formula unit
Energy of formation = -0.0010 eV per atom
E_tot = -437.45 eV per cell
SG = P2_1/c

Cell and atoms, written as extended XYZ:
```
80
Lattice="5.6418 0.0000 0.0000 0.0000 10.6337 0.0000 -0.2629 0.0000 16.5993" Properties=species:S:1:pos:R:3 pbc="T T T"
Mn 0.0554 1.5650 4.2678
Mn -0.0761 3.7519 12.5675
Mn 1.5276 1.9055 15.8343
Mn 1.6591 3.4114 7.5346
Mn 1.9337 7.0573 15.7329
Mn 2.0652 8.8932 7.4333
Mn 3.3137 1.7405 9.1660
Mn 3.4451 3.5764 0.8664
Mn 3.7198 7.2223 9.0647
Mn 3.8512 8.7282 0.7650
Mn 5.4549 6.8818 4.0318
Mn 5.3234 9.0687 12.3315
Zn 0.1102 1.2287 7.3214
Zn -0.0213 4.0881 15.6210
Zn 0.2360 6.9782 6.8562
Zn 0.1045 8.9724 15.1558
Zn 0.6502 1.1172 10.7105
Zn 0.7817 4.1997 2.4108
Zn 0.6862 0.8007 13.6060
Zn 0.8177 4.5162 5.3064
Zn 1.2709 6.1489 9.3106
Zn 1.4024 9.8017 1.0109
Zn 1.7272 6.3849 12.4787
Zn 1.8587 9.5656 4.1790
Zn 2.5804 1.5822 2.5118
Zn 2.4489 3.7347 10.8115
Zn 2.6026 7.0250 2.5713
Zn 2.4712 8.9255 10.8709
Zn 2.9077 1.7082 5.7284
Zn 2.7762 3.6087 14.0280
Zn 2.9299 6.8990 5.7878
Zn 2.7985 9.0515 14.0875
Zn 3.5201 1.0681 12.4203
Zn 3.6516 4.2488 4.1206
Zn 3.9764 0.8320 15.5884
Zn 4.1079 4.4848 7.2887
Zn 4.5612 6.1175 11.2930
Zn 4.6926 9.8330 2.9933
Zn 4.5971 6.4340 14.1885
Zn 4.7286 9.5165 5.8888
Zn 5.2743 1.6613 1.4435
Zn 5.1428 3.6555 9.7431
Zn 5.4001 6.5456 0.9783
Zn 5.2687 9.4050 9.2779
N -0.0969 7.3413 12.6302
N 0.0345 8.6092 4.3306
N -0.0859 1.9168 15.2472
N 0.0456 3.4001 6.9475
N 0.2787 6.5471 15.7404
N 0.4102 9.4035 7.4408
N 0.7714 6.2151 2.7123
N 0.6400 9.7355 11.0119
N 1.5150 1.1113 0.8707
N 1.3835 4.2056 9.1704
N 1.7385 0.9858 4.2330
N 1.6071 4.3311 12.5326
N 2.2017 1.6496 7.7251
N 2.0703 3.6673 16.0248
N 2.5708 1.6950 10.7483
N 2.7023 3.6219 2.4486
N 2.5531 1.4636 14.2769
N 2.6846 3.8532 5.9773
N 2.6943 6.7805 10.6220
N 2.8257 9.1701 2.3224
N 2.6766 7.0118 14.1507
N 2.8080 8.9387 5.8510
N 3.3086 6.9664 0.5745
N 3.1771 8.9841 8.8742
N 3.7718 6.3026 4.0667
N 3.6403 9.6479 12.3664
N 3.9953 6.4281 7.4289
N 3.8639 9.5224 15.7286
N 4.7389 0.8982 5.5874
N 4.6074 4.4186 13.8870
N 4.9686 1.2302 9.1585
N 5.1001 4.0866 0.8589
N 5.3332 7.2336 9.6518
N 5.4647 8.7169 1.3521
N 5.3443 2.0245 12.2687
N 5.4758 3.2924 3.9691
```